This record from the Materials Project describes Co3O4 after structural relaxation. The functional is PBE+U.

Cell and atoms, written as POSCAR:
```
Co3O4
1.0
-2.972 2.972 4.195
2.972 -2.972 4.195
2.972 2.972 -4.195
Co O
6 8
Direct
0.000 0.000 0.000 Co
0.374 0.626 0.748 Co
0.376 0.128 0.752 Co
0.376 0.624 0.248 Co
0.750 0.250 0.500 Co
0.878 0.626 0.252 Co
0.131 0.863 0.268 O
0.133 0.403 0.269 O
0.133 0.864 0.731 O
0.153 0.383 0.769 O
0.595 0.863 0.732 O
0.613 0.381 0.768 O
0.613 0.845 0.232 O
0.614 0.383 0.231 O
```

Calculated values
V in Å³ per cell: 148.2
E in eV/atom: -6.07
Space group: I4_1md
Energy above the lowest structure with this stoichiometry in eV per atom: 0.0105
ΔE_f in eV/atom: -1.291

***

This record from the Materials Project describes Co7O12 after structural relaxation. The functional is PBE+U.

Cell and atoms, written as POSCAR:
```
Co7O12
1.0
2.455 -4.315 0.000
2.455 4.315 0.000
-2.092 0.000 9.392
Co O
7 12
Direct
0.000 0.000 0.000 Co
0.197 0.803 0.500 Co
0.435 0.015 0.227 Co
0.531 0.469 0.500 Co
0.677 0.323 0.000 Co
0.865 0.135 0.500 Co
0.985 0.565 0.773 Co
0.030 0.716 0.110 O
0.163 0.095 0.398 O
0.224 0.515 0.610 O
0.284 0.970 0.890 O
0.385 0.308 0.116 O
0.485 0.776 0.390 O
0.621 0.201 0.616 O
0.692 0.615 0.884 O
0.725 0.052 0.104 O
0.799 0.379 0.384 O
0.905 0.837 0.602 O
0.948 0.275 0.896 O
```

Calculated values
V in Å³ per cell: 199.0
Total moment in μB/cell: 12.406
E in eV/atom: -5.75
Space group: C2
Energy above the lowest structure with this stoichiometry in eV per atom: 0.0000
ΔE_f in eV/atom: -1.040